! PBE Rb2LiTc2O8, optimized geometry; values from VASP
! Total DFT energy (no corrections): -6.6050 eV per atom
! Relative energy among the computed polymorphs: 0.00 eV/f.u.
! M_tot: 0.08 μB per atom
! SG: P1
! Formation enthalpy at 0 K: -2.091 eV per atom
&SYSTEM
  ibrav = 0, nat = 13, ntyp = 4
/
ATOMIC_SPECIES
Rb 85.47 Rb.upf
Li 6.94 Li.upf
Tc 98.00 Tc.upf
O 16.00 O.upf
ATOMIC_POSITIONS angstrom
Rb -2.493 -1.888 1.829
Rb 0.321 -1.463 4.899
Li -3.357 -5.503 0.876
Tc -2.732 1.766 5.306
Tc 0.096 -4.746 1.704
O -1.395 2.305 6.331
O 0.459 0.058 2.255
O -2.215 0.479 4.240
O 1.637 0.761 6.274
O -4.369 -3.851 0.496
O -0.091 -3.370 2.785
O -2.869 -3.143 4.455
O -1.493 -5.198 1.021
CELL_PARAMETERS angstrom
2.640 2.856 6.914
-5.688 0.406 0.009
0.434 -6.288 0.058